Li6Ni2C4SO16 | GGA+U | optimized geometry

a = 13.175 Å, b = 13.175 Å, c = 13.175 Å
α = 90.00°, β = 90.00°, γ = 90.00°
Space group Fd-3 (No. 203, origin choice 2)
One atom of each set of equivalent atoms:
Li  0.094  0.375  0.375 x48
Ni  0.000  0.000  0.500 x16
C  0.027  0.027  0.723 x32
S  0.125  0.125  0.125 x8
O  0.021  0.099  0.790 x96
O  0.059  0.059  0.059 x32

Calculated values
**Corrected total energy (MP2020 scheme)**: -6.96 eV per atom
**Final energy**: -6.402 eV per atom